## HoNi2Ge2 (r2SCAN)

Data for a relaxed HoNi2Ge2 crystal.

```
HoNi2Ge2
1.0
0.0058 -3.6386 -1.7205
3.6690 -0.7025 1.4981
-3.8310 0.2782 4.1065
Ho Ni Ge
1 2 2
Cartesian
0.0000 0.0000 0.0000
-0.9939 -2.7654 1.1374
0.8377 -1.2974 2.7467
1.3245 -2.6573 0.9166
-1.4808 -1.4055 2.9675
```

Calculated values
**V**: 15.7 Å³/atom
**Uncorrected energy**: -17.627 eV/atom
**Space group**: No. 139

## HoGePd2 (r2SCAN)

Data for a relaxed HoGePd2 crystal.

```
HoGePd2
1.0
5.5611 0.0000 0.0000
0.0000 7.0701 0.0000
0.0000 0.0000 7.3335
Ho Ge Pd
4 4 8
Cartesian
0.8138 5.3026 3.8785
4.7473 1.7675 3.4550
3.5944 1.7675 7.1218
1.9667 5.3026 0.2117
4.7570 5.3026 6.4513
0.8041 1.7675 0.8822
1.9765 1.7675 4.5490
3.5847 5.3026 2.7846
3.2648 3.8987 5.0036
2.2964 3.1714 2.3299
0.4842 3.1714 5.9967
2.2964 0.3637 2.3299
5.0769 3.8987 1.3369
3.2648 6.7065 5.0036
5.0769 6.7065 1.3369
0.4842 0.3637 5.9967
```

Calculated values
**V**: 18.0 Å³/atom
**Uncorrected energy**: -24.120 eV/atom
**Space group**: No. 62

## HoGe2Pd2 (r2SCAN)

Data for a relaxed HoGe2Pd2 crystal.

```
HoGe2Pd2
1.0
3.9538 0.0000 -1.5284
-0.5908 3.9094 -1.5284
-0.0098 -0.0114 5.8528
Ho Ge Pd
1 2 2
Cartesian
0.0000 0.0000 0.0000
2.0811 2.4192 -0.4947
1.2721 1.4788 3.2908
2.8127 0.9716 1.3980
0.5404 2.9263 1.3980
```

Calculated values
**V**: 18.1 Å³/atom
**Uncorrected energy**: -22.128 eV/atom
**Space group**: No. 139

## HoGe2Rh2 (r2SCAN)

Data for a relaxed HoGe2Rh2 crystal.

```
HoGe2Rh2
1.0
3.8423 0.0000 -1.4338
-0.5350 3.8049 -1.4338
0.0102 0.0117 5.8926
Ho Ge Rh
1 2 2
Cartesian
0.0000 0.0000 0.0000
1.2602 1.4498 3.3771
2.0573 2.3668 -0.3522
0.5644 2.8595 1.5125
2.7531 0.9571 1.5125
```

Calculated values
**V**: 17.3 Å³/atom
**Uncorrected energy**: -22.732 eV/atom
**Space group**: No. 139

## Ho2Ge5Rh3 (r2SCAN)

Data for a relaxed Ho2Ge5Rh3 crystal.

```
Ho2Ge5Rh3
1.0
-4.1314 -5.2187 -4.9033
6.7985 -0.1571 -4.7011
2.4470 -5.2986 0.3626
Ho Ge Rh
4 10 6
Cartesian
3.9953 -4.6026 -1.9043
5.3530 -7.3269 -7.1005
1.1188 -6.0718 -7.3375
-0.2389 -3.3475 -2.1412
-2.1785 -9.1381 -4.6291
7.2926 -1.5362 -4.6126
5.4580 -5.6017 -4.4879
-0.3439 -5.0726 -4.7539
0.7366 -7.7882 -4.5752
4.3775 -2.8862 -4.6666
2.7661 -8.4870 -6.1332
3.6460 -4.8636 -6.2756
2.3481 -2.1874 -3.1086
1.4682 -5.8108 -2.9662
-2.5452 -4.6096 -3.8749
1.9237 -4.0225 -4.7119
6.5011 -3.6362 -3.5490
7.6593 -6.0647 -5.3668
-1.3870 -7.0381 -5.6928
3.1905 -6.6518 -4.5298
```

Calculated values
**V**: 17.5 Å³/atom
**Uncorrected energy**: -21.580 eV/atom
**Space group**: No. 15

## HoGeRh (r2SCAN)

Data for a relaxed HoGeRh crystal.

```
HoGeRh
1.0
-0.8307 -3.9404 -1.4595
1.6444 -2.6219 6.1427
-7.1341 0.6879 2.2034
Ho Ge Rh
4 4 4
Cartesian
-1.5518 -2.0915 3.3871
-4.7687 -3.7830 3.4994
-1.6027 -0.8549 0.0775
-4.7178 -5.0196 6.8090
-6.1120 -1.1275 3.3800
-0.2085 -4.7470 3.5065
-3.2323 -2.6368 5.8158
-3.0882 -3.2377 1.0707
-2.3227 -4.8729 5.0497
-3.9978 -1.0016 1.8368
-0.5338 -3.8137 1.1720
-5.7867 -2.0608 5.7146
```

Calculated values
**V**: 18.4 Å³/atom
**Uncorrected energy**: -24.701 eV/atom
**Space group**: No. 62

## HoGe2Ru2 (r2SCAN)

Data for a relaxed HoGe2Ru2 crystal.

```
HoGe2Ru2
1.0
-3.6649 -1.9261 -0.8823
2.0976 -3.5461 -0.9720
0.4413 1.2614 5.5687
Ho Ge Ru
1 2 2
Cartesian
0.0000 0.0000 0.0000
-0.8729 -3.1207 0.2834
-0.2531 -1.0901 3.4311
-2.0036 -1.7004 1.8797
0.8776 -2.5104 1.8348
```

Calculated values
**V**: 17.5 Å³/atom
**Uncorrected energy**: -22.998 eV/atom
**Space group**: No. 139

## Ho3Ge3Ru2 (r2SCAN)

Data for a relaxed Ho3Ge3Ru2 crystal.

```
Ho3Ge3Ru2
1.0
-3.3673 -2.0409 1.5577
2.9622 -3.3148 -3.6951
7.7246 -4.7599 10.4623
Ho Ge Ru
6 6 4
Cartesian
2.3055 -2.4593 1.7617
5.0140 -7.6563 6.5631
5.3728 -5.9309 9.5994
1.9467 -4.1847 -1.2745
4.0673 -5.4914 1.5976
3.2521 -4.6242 6.7272
1.1057 -5.1206 1.4368
6.2137 -4.9950 6.8881
3.4734 -6.9194 4.1982
3.8461 -3.1962 4.1266
0.6118 -1.2032 -0.2539
6.7077 -8.9123 8.5787
5.2288 -5.2563 4.4166
2.0906 -4.8593 3.9083
-0.5050 -3.2599 0.3927
7.8244 -6.8557 7.9321
```

Calculated values
**V**: 19.7 Å³/atom
**Uncorrected energy**: -24.750 eV/atom
**Space group**: No. 63

## Ho2SiGe (r2SCAN)

Data for a relaxed Ho2SiGe crystal.

```
Ho2SiGe
1.0
1.4145 3.7345 -4.0426
-4.5569 -3.1572 1.2475
-1.3994 2.8762 2.1674
Ho Si Ge
2 1 1
Cartesian
-3.7261 -2.1983 0.5114
-0.1228 4.2060 -2.2169
-1.7838 2.2890 -0.7454
-2.0517 -0.2659 -0.9719
```

Calculated values
**V**: 21.6 Å³/atom
**Uncorrected energy**: -23.024 eV/atom
**Space group**: No. 38

## Ho4SiGe3 (r2SCAN)

Data for a relaxed Ho4SiGe3 crystal.

```
Ho4SiGe3
1.0
3.8978 0.0000 0.0000
0.0000 4.2376 0.0000
0.0000 0.0000 10.5898
Ho Si Ge
4 1 3
Cartesian
0.0000 0.0000 1.4936
0.0000 2.1188 6.7538
1.9489 2.1188 3.8279
1.9489 0.0000 9.1149
0.0000 0.0000 4.4334
0.0000 2.1188 9.6826
1.9489 2.1188 0.9004
1.9489 0.0000 6.1529
```

Calculated values
**V**: 21.9 Å³/atom
**Uncorrected energy**: -23.683 eV/atom
**Space group**: No. 25

## HoTiGe (r2SCAN)

Data for a relaxed HoTiGe crystal.

```
HoTiGe
1.0
4.0230 0.0000 0.0000
0.0000 4.0230 0.0000
0.0000 0.0000 7.6748
Ho Ti Ge
2 2 2
Cartesian
0.0000 2.0115 2.6764
2.0115 0.0000 4.9984
2.0115 2.0115 0.0000
0.0000 0.0000 0.0000
2.0115 0.0000 1.8705
0.0000 2.0115 5.8043
```

Calculated values
**V**: 20.7 Å³/atom
**Uncorrected energy**: -20.703 eV/atom
**Space group**: No. 129

## GeI4 (r2SCAN)

Data for a relaxed GeI4 crystal.

```
GeI4
1.0
12.2999 0.0000 0.0000
0.0000 12.2999 0.0000
0.0000 0.0000 12.2999
Ge I
8 32
Cartesian
1.6090 1.6090 1.6090
4.5409 10.6909 7.7590
7.7590 4.5409 10.6909
10.6909 7.7590 4.5409
10.6909 10.6909 10.6909
7.7590 1.6090 4.5409
4.5409 7.7590 1.6090
1.6090 4.5409 7.7590
3.0594 3.0594 3.0594
3.0906 9.2405 9.2094
9.2094 3.0906 9.2405
9.2405 9.2094 3.0906
9.2405 9.2405 9.2405
9.2094 3.0594 3.0906
3.0906 9.2094 3.0594
3.0594 3.0906 9.2094
0.2540 0.0630 3.0764
3.0764 0.2540 0.0630
0.0630 3.0764 0.2540
6.0870 9.2236 6.4039
9.2263 5.8960 12.2370
12.2370 9.2263 5.8960
3.0736 12.0459 6.2129
9.2236 6.4039 6.0870
6.2129 3.0736 12.0459
6.4039 6.0870 9.2236
12.0459 6.2129 3.0736
5.8960 12.2370 9.2263
12.0459 12.2370 9.2236
9.2236 12.0459 12.2370
12.2370 9.2236 12.0459
6.2129 3.0764 5.8960
3.0736 6.4039 0.0630
0.0630 3.0736 6.4039
9.2263 0.2540 6.0870
3.0764 5.8960 6.2129
6.0870 9.2263 0.2540
5.8960 6.2129 3.0764
0.2540 6.0870 9.2263
6.4039 0.0630 3.0736
```

Calculated values
**V**: 46.5 Å³/atom
**Uncorrected energy**: -22.751 eV/atom
**Space group**: No. 205